1.
# r2SCAN SiO2, relaxed
# M_tot   0.0 Bohr magnetons per cell
# Formation energy   -2.9429 eV per atom
data_SiO2
_cell_length_a 6.806
_cell_length_b 8.269
_cell_length_c 6.914
_cell_angle_alpha 90.00
_cell_angle_beta 116.64
_cell_angle_gamma 90.00
_symmetry_space_group_name_H-M 'C 1 2 1'
_symmetry_Int_Tables_number 5
_symmetry_space_group_name_Hall 'C 2y'
loop_
_atom_site_label
_atom_site_fract_x
_atom_site_fract_y
_atom_site_fract_z
Si1 0.120 0.000 0.382
Si2 0.207 0.687 0.223
O1 0.000 0.640 0.000
O2 0.000 0.896 0.500
O3 0.066 0.127 0.779
O4 0.186 0.600 0.424
O5 0.212 0.882 0.256

2.
# r2SCAN Yb2WN2O3, relaxed
# M_tot   0.0 Bohr magnetons per cell
# Formation energy   -2.1064 eV per atom
data_Yb2WN2O3
_cell_length_a 3.548
_cell_length_b 3.548
_cell_length_c 16.136
_cell_angle_alpha 90.00
_cell_angle_beta 90.00
_cell_angle_gamma 90.00
_symmetry_space_group_name_H-M 'I -4 m 2'
_symmetry_Int_Tables_number 119
_symmetry_space_group_name_Hall 'I -4 -2'
loop_
_atom_site_label
_atom_site_fract_x
_atom_site_fract_y
_atom_site_fract_z
Yb1 0.000 0.000 0.152
W1 0.000 0.000 0.500
N1 0.000 0.500 0.062
O1 0.000 0.500 0.585
O2 0.000 0.500 0.750

3.
# r2SCAN Er5Re2C7, relaxed
# M_tot   0.0 Bohr magnetons per cell
# Formation energy   -0.5500 eV per atom
data_Er5Re2C7
_cell_length_a 7.927
_cell_length_b 14.405
_cell_length_c 3.378
_cell_angle_alpha 90.00
_cell_angle_beta 90.00
_cell_angle_gamma 90.00
_symmetry_space_group_name_H-M 'C m m m'
_symmetry_Int_Tables_number 65
_symmetry_space_group_name_Hall '-C 2 2'
loop_
_atom_site_label
_atom_site_fract_x
_atom_site_fract_y
_atom_site_fract_z
Er1 0.000 0.000 0.000
Er2 0.206 0.370 0.500
Re1 0.000 0.215 0.000
C1 0.000 0.125 0.500
C2 0.000 0.500 0.000
C3 0.170 0.500 0.000
C4 0.250 0.250 0.000

4.
# r2SCAN Y5U2O12, relaxed
# M_tot   1.0 Bohr magnetons per cell
# Formation energy   -3.8828 eV per atom
data_Y5U2O12
_cell_length_a 6.545
_cell_length_b 6.570
_cell_length_c 19.454
_cell_angle_alpha 96.92
_cell_angle_beta 97.07
_cell_angle_gamma 99.21
_symmetry_space_group_name_H-M 'P 1'
_symmetry_Int_Tables_number 1
_symmetry_space_group_name_Hall 'P 1'
loop_
_atom_site_label
_atom_site_fract_x
_atom_site_fract_y
_atom_site_fract_z
Y1 0.000 0.000 0.000
Y2 0.001 0.526 0.085
Y3 0.071 0.426 0.902
Y4 0.147 0.435 0.695
Y5 0.214 0.873 0.595
Y6 0.218 0.330 0.514
Y7 0.333 0.333 0.334
Y8 0.334 0.860 0.419
Y9 0.403 0.758 0.235
Y10 0.549 0.665 0.846
Y11 0.557 0.207 0.929
Y12 0.670 0.202 0.754
Y13 0.738 0.097 0.568
Y14 0.885 0.999 0.179
Y15 0.891 0.540 0.261
U1 0.113 0.933 0.799
U2 0.443 0.263 0.133
U3 0.479 0.766 0.029
U4 0.667 0.663 0.667
U5 0.776 0.596 0.465
U6 0.812 0.098 0.361
O1 0.001 0.230 0.275
O2 0.028 0.222 0.773
O3 0.072 0.740 0.190
O4 0.080 0.770 0.693
O5 0.090 0.168 0.604
O6 0.106 0.694 0.483
O7 0.110 0.170 0.113
O8 0.138 0.705 0.995
O9 0.139 0.092 0.903
O10 0.140 0.122 0.404
O11 0.191 0.646 0.825
O12 0.221 0.637 0.322
O13 0.337 0.565 0.608
O14 0.361 0.556 0.108
O15 0.404 0.071 0.525
O16 0.417 0.108 0.027
O17 0.427 0.500 0.938
O18 0.444 0.503 0.447
O19 0.445 0.029 0.816
O20 0.470 0.037 0.328
O21 0.470 0.423 0.237
O22 0.478 0.459 0.739
O23 0.526 0.973 0.157
O24 0.556 0.960 0.657
O25 0.667 0.898 0.942
O26 0.694 0.889 0.441
O27 0.740 0.408 0.858
O28 0.749 0.441 0.360
O29 0.760 0.833 0.271
O30 0.774 0.361 0.150
O31 0.776 0.835 0.780
O32 0.785 0.370 0.660
O33 0.807 0.789 0.071
O34 0.809 0.763 0.570
O35 0.858 0.307 0.490
O36 0.889 0.304 0.988

5.
# r2SCAN PaPt5, relaxed
# M_tot   0.0 Bohr magnetons per cell
# Formation energy   -0.8304 eV per atom
data_PaPt5
_cell_length_a 7.474
_cell_length_b 7.474
_cell_length_c 7.474
_cell_angle_alpha 90.00
_cell_angle_beta 90.00
_cell_angle_gamma 90.00
_symmetry_space_group_name_H-M 'F -4 3 m'
_symmetry_Int_Tables_number 216
_symmetry_space_group_name_Hall 'F -4 2 3'
loop_
_atom_site_label
_atom_site_fract_x
_atom_site_fract_y
_atom_site_fract_z
Pa1 0.000 0.000 0.000
Pt1 0.125 0.125 0.625
Pt2 0.250 0.250 0.250

6.
# r2SCAN YbGaO3, relaxed
# M_tot   0.0 Bohr magnetons per cell
# Formation energy   -2.6727 eV per atom
data_YbGaO3
_cell_length_a 3.770
_cell_length_b 3.770
_cell_length_c 3.770
_cell_angle_alpha 90.00
_cell_angle_beta 90.00
_cell_angle_gamma 90.00
_symmetry_space_group_name_H-M 'P m -3 m'
_symmetry_Int_Tables_number 221
_symmetry_space_group_name_Hall '-P 4 2 3'
loop_
_atom_site_label
_atom_site_fract_x
_atom_site_fract_y
_atom_site_fract_z
Yb1 0.000 0.000 0.000
Ga1 0.500 0.500 0.500
O1 0.000 0.500 0.500

7.
# r2SCAN ErTc2, relaxed
# M_tot   0.0 Bohr magnetons per cell
# Formation energy   -0.2493 eV per atom
data_ErTc2
_cell_length_a 5.3191
_cell_length_b 5.3191
_cell_length_c 8.8004
_cell_angle_alpha 90.00
_cell_angle_beta 90.00
_cell_angle_gamma 120.00
_symmetry_space_group_name_H-M 'P 63/m m c'
_symmetry_Int_Tables_number 194
_symmetry_space_group_name_Hall '-P 6c 2c'
loop_
_atom_site_label
_atom_site_fract_x
_atom_site_fract_y
_atom_site_fract_z
Er1 0.3333 0.6667 0.0629
Tc1 0.0000 0.0000 0.0000
Tc2 0.1717 0.3434 0.7500

8.
# r2SCAN NaSmSe2O7, relaxed
# M_tot   0.0 Bohr magnetons per cell
# Formation energy   -1.8016 eV per atom
data_NaSmSe2O7
_cell_length_a 10.603
_cell_length_b 6.918
_cell_length_c 8.251
_cell_angle_alpha 90.00
_cell_angle_beta 91.16
_cell_angle_gamma 90.00
_symmetry_space_group_name_H-M 'P 1 21/c 1'
_symmetry_Int_Tables_number 14
_symmetry_space_group_name_Hall '-P 2ybc'
loop_
_atom_site_label
_atom_site_fract_x
_atom_site_fract_y
_atom_site_fract_z
Na1 0.064 0.127 0.311
Sm1 0.416 0.651 0.695
Se1 0.159 0.643 0.457
Se2 0.327 0.172 0.555
O1 0.055 0.682 0.952
O2 0.116 0.028 0.830
O3 0.187 0.564 0.645
O4 0.305 0.723 0.421
O5 0.340 0.118 0.358
O6 0.408 0.503 0.161
O7 0.448 0.158 0.065

9.
# r2SCAN U3Al12Fe4, relaxed
# M_tot   8.2 Bohr magnetons per cell
# Formation energy   -0.2848 eV per atom
data_U3Al12Fe4
_cell_length_a 8.7232
_cell_length_b 8.7232
_cell_length_c 9.1393
_cell_angle_alpha 90.00
_cell_angle_beta 90.00
_cell_angle_gamma 120.00
_symmetry_space_group_name_H-M 'P 63/m m c'
_symmetry_Int_Tables_number 194
_symmetry_space_group_name_Hall '-P 6c 2c'
loop_
_atom_site_label
_atom_site_fract_x
_atom_site_fract_y
_atom_site_fract_z
U1 0.2013 0.4027 0.2500
Al1 0.0000 0.0000 0.2500
Al2 0.1228 0.5614 0.7500
Al3 0.1581 0.3162 0.5793
Al4 0.3333 0.6667 0.0048
Fe1 0.0000 0.0000 0.0000
Fe2 0.0000 0.5000 0.0000

10.
# r2SCAN K2NiO2, relaxed
# M_tot   4.0 Bohr magnetons per cell
# Formation energy   -1.3443 eV per atom
data_K2NiO2
_cell_length_a 3.924
_cell_length_b 3.924
_cell_length_c 12.740
_cell_angle_alpha 90.00
_cell_angle_beta 90.00
_cell_angle_gamma 90.00
_symmetry_space_group_name_H-M 'I 4/m m m'
_symmetry_Int_Tables_number 139
_symmetry_space_group_name_Hall '-I 4 2'
loop_
_atom_site_label
_atom_site_fract_x
_atom_site_fract_y
_atom_site_fract_z
K1 0.000 0.000 0.154
Ni1 0.000 0.000 0.500
O1 0.000 0.000 0.367

11.
# r2SCAN LiB13C2, relaxed
# M_tot   0.0 Bohr magnetons per cell
# Formation energy   -0.2045 eV per atom
data_LiB13C2
_cell_length_a 5.665
_cell_length_b 10.809
_cell_length_c 8.028
_cell_angle_alpha 90.00
_cell_angle_beta 90.00
_cell_angle_gamma 90.00
_symmetry_space_group_name_H-M 'I m m a'
_symmetry_Int_Tables_number 74
_symmetry_space_group_name_Hall '-I 2b 2'
loop_
_atom_site_label
_atom_site_fract_x
_atom_site_fract_y
_atom_site_fract_z
Li1 0.000 0.250 0.198
B1 0.000 0.074 0.678
B2 0.000 0.167 0.487
B3 0.000 0.250 0.864
B4 0.160 0.069 0.341
B5 0.247 0.072 0.949
C1 0.000 0.119 0.871

12.
# r2SCAN CeLu3, relaxed
# M_tot   4.1 Bohr magnetons per cell
# Formation energy   0.0248 eV per atom
data_CeLu3
_cell_length_a 7.0593
_cell_length_b 7.0593
_cell_length_c 5.6354
_cell_angle_alpha 90.00
_cell_angle_beta 90.00
_cell_angle_gamma 120.00
_symmetry_space_group_name_H-M 'P 63/m m c'
_symmetry_Int_Tables_number 194
_symmetry_space_group_name_Hall '-P 6c 2c'
loop_
_atom_site_label
_atom_site_fract_x
_atom_site_fract_y
_atom_site_fract_z
Ce1 0.3333 0.6667 0.2500
Lu1 0.1659 0.3319 0.7500